1.
{
  "formula": "Li2Mn4P4O15",
  "functional": "GGA+U",
  "state": "relaxed",
  "energy_mp2020_ev_per_atom": -7.99,
  "ef_ev_per_atom": -2.5399,
  "crystal_system": "monoclinic",
  "density_g_cm3": 2.82,
  "lattice": [[5.3383, -7.2405, 0.0000], [5.3383, 7.2405, 0.0000], [-3.5952, 0.0000, 18.2083]],
  "species": ["Li", "Li", "Li", "Li", "Li", "Li", "Li", "Li", "Mn", "Mn", "Mn", "Mn", "Mn", "Mn", "Mn", "Mn", "Mn", "Mn", "Mn", "Mn", "Mn", "Mn", "Mn", "Mn", "P", "P", "P", "P", "P", "P", "P", "P", "P", "P", "P", "P", "P", "P", "P", "P", "O", "O", "O", "O", "O", "O", "O", "O", "O", "O", "O", "O", "O", "O", "O", "O", "O", "O", "O", "O", "O", "O", "O", "O", "O", "O", "O", "O", "O", "O", "O", "O", "O", "O", "O", "O", "O", "O", "O", "O", "O", "O", "O", "O", "O", "O", "O", "O", "O", "O", "O", "O", "O", "O", "O", "O", "O", "O", "O", "O"],
  "fractional_positions": [[0.0116, 0.5249, 0.7576], [0.0320, 0.1852, 0.4435], [0.1852, 0.0320, 0.9435], [0.4751, 0.9884, 0.7424], [0.5249, 0.0116, 0.2576], [0.8148, 0.9680, 0.0565], [0.9680, 0.8148, 0.5565], [0.9884, 0.4751, 0.2424], [0.0000, 0.5000, 0.0000], [0.0223, 0.9777, 0.2500], [0.2200, 0.5941, 0.4374], [0.3235, 0.6765, 0.2500], [0.3492, 0.4527, 0.9307], [0.4059, 0.7800, 0.0626], [0.4490, 0.5510, 0.7500], [0.4527, 0.3492, 0.4307], [0.5000, 0.0000, 0.5000], [0.5473, 0.6508, 0.5693], [0.5510, 0.4490, 0.2500], [0.5941, 0.2200, 0.9374], [0.6508, 0.5473, 0.0693], [0.6765, 0.3235, 0.7500], [0.7800, 0.4059, 0.5626], [0.9777, 0.0223, 0.7500], [0.0470, 0.7199, 0.1259], [0.1864, 0.4772, 0.6002], [0.1994, 0.3432, 0.3202], [0.2721, 0.3907, 0.0993], [0.2801, 0.9530, 0.3741], [0.3432, 0.1994, 0.8202], [0.3907, 0.2721, 0.5993], [0.4772, 0.1864, 0.1002], [0.5228, 0.8136, 0.8998], [0.6093, 0.7279, 0.4007], [0.6568, 0.8006, 0.1798], [0.7199, 0.0470, 0.6259], [0.7279, 0.6093, 0.9007], [0.8006, 0.6568, 0.6798], [0.8136, 0.5228, 0.3998], [0.9530, 0.2801, 0.8741], [0.0161, 0.4330, 0.5670], [0.0302, 0.8860, 0.1421], [0.0676, 0.2223, 0.2653], [0.0907, 0.6597, 0.1979], [0.0977, 0.3538, 0.0734], [0.1082, 0.4041, 0.9171], [0.1140, 0.9698, 0.3579], [0.1670, 0.7154, 0.0716], [0.1823, 0.3307, 0.4039], [0.1855, 0.5109, 0.3129], [0.2223, 0.0676, 0.7653], [0.2225, 0.3075, 0.5845], [0.2276, 0.5394, 0.6830], [0.2846, 0.8330, 0.4284], [0.2927, 0.5889, 0.5554], [0.3075, 0.2225, 0.0845], [0.3307, 0.1823, 0.9039], [0.3314, 0.4580, 0.1807], [0.3342, 0.3677, 0.8145], [0.3403, 0.9093, 0.3021], [0.3538, 0.0977, 0.5734], [0.3677, 0.3342, 0.3145], [0.3791, 0.4995, 0.0517], [0.4041, 0.1082, 0.4171], [0.4111, 0.7073, 0.9446], [0.4330, 0.0161, 0.0670], [0.4580, 0.3314, 0.6807], [0.4606, 0.7724, 0.8170], [0.4891, 0.8145, 0.1871], [0.4995, 0.3791, 0.5517], [0.5005, 0.6209, 0.4483], [0.5109, 0.1855, 0.8129], [0.5394, 0.2276, 0.1830], [0.5420, 0.6686, 0.3193], [0.5670, 0.9839, 0.9330], [0.5889, 0.2927, 0.0554], [0.5959, 0.8918, 0.5829], [0.6209, 0.5005, 0.9483], [0.6323, 0.6658, 0.6855], [0.6462, 0.9023, 0.4266], [0.6597, 0.0907, 0.6979], [0.6658, 0.6323, 0.1855], [0.6686, 0.5420, 0.8193], [0.6693, 0.8177, 0.0961], [0.6925, 0.7775, 0.9155], [0.7073, 0.4111, 0.4446], [0.7154, 0.1670, 0.5716], [0.7724, 0.4606, 0.3170], [0.7775, 0.6925, 0.4155], [0.7777, 0.9324, 0.2347], [0.8145, 0.4891, 0.6871], [0.8177, 0.6693, 0.5961], [0.8330, 0.2846, 0.9284], [0.8860, 0.0302, 0.6421], [0.8918, 0.5959, 0.0829], [0.9023, 0.6462, 0.9266], [0.9093, 0.3403, 0.8021], [0.9324, 0.7777, 0.7347], [0.9698, 0.1140, 0.8579], [0.9839, 0.5670, 0.4330]]
}



2.
{
  "formula": "LiFeCoO4",
  "functional": "GGA+U",
  "state": "relaxed",
  "energy_mp2020_ev_per_atom": -6.91,
  "ef_ev_per_atom": -1.5796,
  "crystal_system": "orthorhombic",
  "density_g_cm3": 4.34,
  "lattice": [[-2.8919, 2.9876, 4.1110], [2.8919, -2.9876, 4.1110], [2.8919, 2.9876, -4.1110]],
  "species": ["Li", "Li", "Fe", "Fe", "Co", "Co", "O", "O", "O", "O", "O", "O", "O", "O"],
  "fractional_positions": [[0.0000, 0.0000, 0.0000], [0.5000, 0.0000, 0.5000], [0.0000, 0.5000, 0.5000], [0.5000, 0.5000, 0.0000], [0.5000, 0.0000, 0.0000], [0.5000, 0.5000, 0.5000], [0.2708, 0.2823, 0.5115], [0.2708, 0.7594, 0.9885], [0.2883, 0.7470, 0.5412], [0.2942, 0.2530, 0.0412], [0.7058, 0.7470, 0.9588], [0.7117, 0.2530, 0.4588], [0.7292, 0.2406, 0.0115], [0.7292, 0.7177, 0.4885]]
}



3.
{
  "formula": "Li5Mn2P3O12",
  "functional": "GGA+U",
  "state": "relaxed",
  "energy_mp2020_ev_per_atom": -7.33,
  "ef_ev_per_atom": -2.6270,
  "crystal_system": "triclinic",
  "density_g_cm3": 2.78,
  "lattice": [[8.5026, 0.0000, 0.0000], [-4.1955, 7.4322, 0.0000], [-4.0591, -2.3553, 8.1276]],
  "species": ["Li", "Li", "Li", "Li", "Li", "Li", "Li", "Li", "Li", "Li", "Mn", "Mn", "Mn", "Mn", "P", "P", "P", "P", "P", "P", "O", "O", "O", "O", "O", "O", "O", "O", "O", "O", "O", "O", "O", "O", "O", "O", "O", "O", "O", "O", "O", "O", "O", "O"],
  "fractional_positions": [[0.0000, 0.0000, 0.0000], [0.0129, 0.2654, 0.1994], [0.0605, 0.5431, 0.7152], [0.2957, 0.4181, 0.5022], [0.3507, 0.6851, 0.0131], [0.5097, 0.2414, 0.8194], [0.6107, 0.1348, 0.4583], [0.7073, 0.7931, 0.7123], [0.7796, 0.7058, 0.2101], [0.9027, 0.7602, 0.5172], [0.3650, 0.8350, 0.6303], [0.4123, 0.3428, 0.1781], [0.9893, 0.6304, 0.0538], [0.9937, 0.1330, 0.5816], [0.1691, 0.0253, 0.3539], [0.1836, 0.9302, 0.8602], [0.4706, 0.5427, 0.8536], [0.5018, 0.7351, 0.3658], [0.8688, 0.2217, 0.8491], [0.8861, 0.4419, 0.3600], [0.0215, 0.6167, 0.5132], [0.0217, 0.9725, 0.4265], [0.0284, 0.8844, 0.1785], [0.0577, 0.2540, 0.0129], [0.1198, 0.7335, 0.8929], [0.2479, 0.2281, 0.3335], [0.2742, 0.0774, 0.0160], [0.3040, 0.6747, 0.2000], [0.3339, 0.3448, 0.7266], [0.3363, 0.9846, 0.7958], [0.3556, 0.0111, 0.4655], [0.3619, 0.6504, 0.7945], [0.4439, 0.6790, 0.5036], [0.4890, 0.5297, 0.0254], [0.6052, 0.6317, 0.3483], [0.6637, 0.9487, 0.4205], [0.6669, 0.3192, 0.3411], [0.6889, 0.6452, 0.8694], [0.7027, 0.0082, 0.7894], [0.7932, 0.3404, 0.8870], [0.8658, 0.5121, 0.2055], [0.9268, 0.2816, 0.7123], [0.9775, 0.9099, 0.7239], [0.9914, 0.3294, 0.3876]]
}



4.
{
  "formula": "V2CdP4O14",
  "functional": "GGA+U",
  "state": "relaxed",
  "energy_mp2020_ev_per_atom": -7.84,
  "ef_ev_per_atom": -2.6039,
  "crystal_system": "triclinic",
  "density_g_cm3": 3.54,
  "lattice": [[4.8869, 0.0000, 0.0000], [2.0119, 6.7826, 0.0000], [0.4052, -0.0417, 7.9454]],
  "species": ["V", "V", "Cd", "P", "P", "P", "P", "O", "O", "O", "O", "O", "O", "O", "O", "O", "O", "O", "O", "O", "O"],
  "fractional_positions": [[0.0000, 0.0000, 0.0000], [0.5000, 0.5000, 0.5000], [0.0000, 0.0000, 0.5000], [0.0227, 0.3842, 0.7480], [0.3861, 0.2114, 0.2200], [0.6139, 0.7886, 0.7800], [0.9773, 0.6158, 0.2520], [0.0736, 0.2241, 0.8777], [0.1156, 0.6729, 0.4099], [0.1775, 0.0817, 0.2304], [0.2090, 0.4311, 0.1676], [0.2924, 0.4441, 0.7033], [0.3876, 0.8446, 0.9207], [0.4983, 0.7733, 0.6039], [0.5017, 0.2267, 0.3961], [0.6124, 0.1554, 0.0793], [0.7076, 0.5559, 0.2967], [0.7910, 0.5689, 0.8324], [0.8225, 0.9183, 0.7696], [0.8844, 0.3271, 0.5901], [0.9264, 0.7759, 0.1223]]
}



5.
{
  "formula": "CoRe2O6",
  "functional": "GGA+U",
  "state": "relaxed",
  "energy_mp2020_ev_per_atom": -8.67,
  "ef_ev_per_atom": -1.8119,
  "crystal_system": "tetragonal",
  "density_g_cm3": 9.04,
  "lattice": [[4.7737, 0.0000, 0.0000], [0.0000, 4.7737, 0.0000], [0.0000, 0.0000, 8.5008]],
  "species": ["Co", "Co", "Re", "Re", "Re", "Re", "O", "O", "O", "O", "O", "O", "O", "O", "O", "O", "O", "O"],
  "fractional_positions": [[0.0000, 0.0000, 0.0000], [0.5000, 0.5000, 0.5000], [0.0000, 0.0000, 0.3463], [0.0000, 0.0000, 0.6537], [0.5000, 0.5000, 0.1537], [0.5000, 0.5000, 0.8463], [0.2127, 0.2127, 0.1770], [0.2127, 0.2127, 0.8230], [0.2183, 0.2183, 0.5000], [0.2817, 0.7183, 0.0000], [0.2873, 0.7127, 0.3230], [0.2873, 0.7127, 0.6770], [0.7127, 0.2873, 0.3230], [0.7127, 0.2873, 0.6770], [0.7183, 0.2817, 0.0000], [0.7817, 0.7817, 0.5000], [0.7873, 0.7873, 0.1770], [0.7873, 0.7873, 0.8230]]
}